[1]
The following is a DFT calculation (r2SCAN) of a relaxed structure of AcPdO3.

For the formation energy, the calculation gives -2.12 eV per atom. The value obtained for the uncorrected energy is -24.019 eV/atom. The calculation puts the spin magnetization at 0.000 μB/atom.

The space group is Pm-3m (No. 221) and the conventional cell measures 4.0552, 4.0552 and 4.0552 Å, with angles of 90.00, 90.00 and 90.00 degrees. The distinct sites, in fractional coordinates, are Ac at (0.0000, 0.0000, 0.0000), Pd at (0.5000, 0.5000, 0.5000) and O at (0.0000, 0.5000, 0.5000).

[2]
The following is a DFT calculation (r2SCAN) of a relaxed structure of CaNiN.

For the formation energy, the calculation gives -0.77 eV per atom. The value obtained for the uncorrected energy is -10.153 eV/atom. The calculation puts the spin magnetization at 0.062 μB/atom.

The space group is P4_2/mmc (No. 131) and the conventional cell measures 3.5366, 3.5366 and 7.0467 Å, with angles of 90.00, 90.00 and 90.00 degrees. The distinct sites, in fractional coordinates, are Ca at (0.0000, 0.0000, 0.2500), Ni at (0.5000, 0.5000, 0.0000) and N at (0.0000, 0.5000, 0.0000).

[3]
The following is a DFT calculation (r2SCAN) of a relaxed structure of Li4WO5.

For the formation energy, the calculation gives -2.39 eV per atom. The value obtained for the uncorrected energy is -11.466 eV/atom. The calculation puts the spin magnetization at 0.000 μB/atom.

The space group is I4 (No. 79) and the conventional cell measures 6.5395, 6.5395 and 4.1057 Å, with angles of 90.00, 90.00 and 90.00 degrees. The distinct sites, in fractional coordinates, are Li at (0.1009, 0.6841, 0.0000), W at (0.0000, 0.0000, 0.4612), O at (0.0000, 0.0000, 0.0100) and O at (0.0886, 0.7253, 0.5106).

[4]
The following is a DFT calculation (r2SCAN) of a relaxed structure of Na2U2O7.

For the formation energy, the calculation gives -3.07 eV per atom. The value obtained for the uncorrected energy is -22.055 eV/atom. The calculation puts the spin magnetization at 0.000 μB/atom. Its excess energy over the best structure of this formula in the dataset is 0 meV/atom.

The space group is C2/m (No. 12) and the conventional cell measures 12.7899, 7.7867 and 6.8828 Å, with angles of 90.00, 111.49 and 90.00 degrees. The distinct sites, in fractional coordinates, are Na at (0.0000, 0.0000, 0.0000), Na at (0.0000, 0.2475, 0.5000), Na at (0.0000, 0.5000, 0.0000), U at (0.2409, 0.5000, 0.4579), U at (0.2500, 0.2500, 0.0000), O at (0.0845, 0.5000, 0.3672), O at (0.0944, 0.2116, 0.8910), O at (0.1040, 0.0000, 0.4461), O at (0.2125, 0.5000, 0.1029) and O at (0.2424, 0.2957, 0.6806).

[5]
The following is a DFT calculation (r2SCAN) of a relaxed structure of NdMgRh.

For the formation energy, the calculation gives -0.61 eV per atom. The value obtained for the uncorrected energy is -19.855 eV/atom. The calculation puts the spin magnetization at 0.000 μB/atom.

The space group is Pnma (No. 62) and the conventional cell measures 7.2333, 4.1449 and 8.7005 Å, with angles of 90.00, 90.00 and 90.00 degrees. The distinct sites, in fractional coordinates, are Nd at (0.0382, 0.2500, 0.1791), Mg at (0.1329, 0.2500, 0.5571) and Rh at (0.2481, 0.7500, 0.3734).

[6]
The following is a DFT calculation (r2SCAN) of a relaxed structure of SrSn2As2.

For the formation energy, the calculation gives -0.62 eV per atom. The value obtained for the uncorrected energy is -19.435 eV/atom. The calculation puts the spin magnetization at 0.000 μB/atom.

The space group is R-3m (No. 166, hexagonal axes) and the conventional cell measures 4.2448, 4.2448 and 26.9416 Å, with angles of 90.00, 90.00 and 120.00 degrees. The distinct sites, in fractional coordinates, are Sr at (0.0000, 0.0000, 0.0000), Sn at (0.0000, 0.0000, 0.2092) and As at (0.0000, 0.0000, 0.4071).

[7]
The following is a DFT calculation (r2SCAN) of a relaxed structure of Ca3Au4.

For the formation energy, the calculation gives -0.83 eV per atom. The value obtained for the uncorrected energy is -32.750 eV/atom. The calculation puts the spin magnetization at 0.000 μB/atom.

The space group is R-3 (No. 148, hexagonal axes) and the conventional cell measures 13.7293, 13.7293 and 5.9943 Å, with angles of 90.00, 90.00 and 120.00 degrees. The distinct sites, in fractional coordinates, are Ca at (0.0457, 0.8373, 0.2375), Au at (0.0000, 0.0000, 0.0000), Au at (0.0000, 0.0000, 0.5000) and Au at (0.0542, 0.6105, 0.3891).

[8]
The following is a DFT calculation (r2SCAN) of a relaxed structure of Er3ScS6.

For the formation energy, the calculation gives -2.30 eV per atom. The value obtained for the uncorrected energy is -18.441 eV/atom. The calculation puts the spin magnetization at 0.000 μB/atom. Its excess energy over the best structure of this formula in the dataset is 10 meV/atom.

The space group is P2_1/m (No. 11) and the conventional cell measures 10.8617, 3.8410 and 11.0034 Å, with angles of 90.00, 109.45 and 90.00 degrees. The distinct sites, in fractional coordinates, are Er at (0.0473, 0.2500, 0.1922), Er at (0.1650, 0.2500, 0.5845), Er at (0.3195, 0.7500, 0.0018), Sc at (0.4359, 0.2500, 0.3350), S at (0.0802, 0.7500, 0.4002), S at (0.1113, 0.2500, 0.9650), S at (0.1911, 0.7500, 0.7515), S at (0.2648, 0.7500, 0.2322), S at (0.4025, 0.2500, 0.5616) and S at (0.4815, 0.2500, 0.1222).

[9]
The following is a DFT calculation (r2SCAN) of a relaxed structure of TbCo3P2.

For the formation energy, the calculation gives -0.89 eV per atom. The value obtained for the uncorrected energy is -15.717 eV/atom. The calculation puts the spin magnetization at 0.188 μB/atom.

The space group is Pmmn (No. 59, origin choice 2) and the conventional cell measures 3.6938, 10.4330 and 12.1310 Å, with angles of 90.00, 90.00 and 90.00 degrees. The distinct sites, in fractional coordinates, are Tb at (0.2500, 0.0673, 0.2061), Tb at (0.2500, 0.2500, 0.4788), Co at (0.2500, 0.1306, 0.7102), Co at (0.2500, 0.2500, 0.0130), Co at (0.2500, 0.5465, 0.4306), Co at (0.2500, 0.5832, 0.9955), Co at (0.2500, 0.7500, 0.1548), Co at (0.2500, 0.7500, 0.7037), P at (0.2500, 0.0965, 0.8941), P at (0.2500, 0.5598, 0.6150), P at (0.2500, 0.7500, 0.3423) and P at (0.2500, 0.7500, 0.8829).

[10]
The following is a DFT calculation (r2SCAN) of a relaxed structure of TlCdSb.

For the formation energy, the calculation gives -0.12 eV per atom. The value obtained for the uncorrected energy is -33.113 eV/atom. The calculation puts the spin magnetization at 0.000 μB/atom.

The space group is Pnma (No. 62) and the conventional cell measures 8.5535, 4.9471 and 8.3412 Å, with angles of 90.00, 90.00 and 90.00 degrees. The distinct sites, in fractional coordinates, are Tl at (0.0057, 0.2500, 0.1770), Cd at (0.1554, 0.2500, 0.5904) and Sb at (0.1994, 0.7500, 0.4063).

[11]
The following is a DFT calculation (r2SCAN) of a relaxed structure of K3Hg11.

For the formation energy, the calculation gives -0.22 eV per atom. The value obtained for the uncorrected energy is -40.301 eV/atom. The calculation puts the spin magnetization at 0.000 μB/atom.

The space group is Immm (No. 71) and the conventional cell measures 5.0940, 11.0501 and 14.9423 Å, with angles of 90.00, 90.00 and 90.00 degrees. The distinct sites, in fractional coordinates, are K at (0.0000, 0.0000, 0.0000), K at (0.0000, 0.0000, 0.3074), Hg at (0.0000, 0.1999, 0.5000), Hg at (0.0000, 0.2844, 0.1375), Hg at (0.0000, 0.3651, 0.3350) and Hg at (0.0000, 0.5000, 0.0000).

[12]
The following is a DFT calculation (r2SCAN) of a relaxed structure of SiSbPt5.

For the formation energy, the calculation gives -0.30 eV per atom. The value obtained for the uncorrected energy is -42.005 eV/atom. The calculation puts the spin magnetization at 0.000 μB/atom.

The space group is P4/mmm (No. 123) and the conventional cell measures 3.9324, 3.9324 and 7.5218 Å, with angles of 90.00, 90.00 and 90.00 degrees. The distinct sites, in fractional coordinates, are Si at (0.0000, 0.0000, 0.0000), Sb at (0.5000, 0.5000, 0.5000), Pt at (0.0000, 0.5000, 0.2512) and Pt at (0.5000, 0.5000, 0.0000).